Entry 1:
A relaxed GdBO3 crystal. Source: the Materials Project database, functional PBE.

Geometry as CIF:
```
data_GdBO3
_chemical_formula_sum 'Gd3 B3 O9'
_cell_length_a 6.1293
_cell_length_b 6.1293
_cell_length_c 6.1293
_cell_angle_alpha 62.99
_cell_angle_beta 62.99
_cell_angle_gamma 62.99
_symmetry_space_group_name_H-M 'P 1'
_symmetry_Int_Tables_number 1
_symmetry_space_group_name_Hall 'P 1'
loop_
_atom_site_label
_atom_site_fract_x
_atom_site_fract_y
_atom_site_fract_z
Gd1 0.1682 0.5000 0.8318
Gd2 0.8318 0.1682 0.5000
Gd3 0.5000 0.8318 0.1682
B1 0.7574 0.2426 0.0000
B2 0.0000 0.7574 0.2426
B3 0.2426 0.0000 0.7574
O1 0.2690 0.9134 0.5586
O2 0.9134 0.5586 0.2690
O3 0.5586 0.2690 0.9134
O4 0.4414 0.0866 0.7310
O5 0.0866 0.7310 0.4414
O6 0.7310 0.4414 0.0866
O7 0.0000 0.2235 0.7765
O8 0.2235 0.7765 0.0000
O9 0.7765 0.0000 0.2235
```

Properties
Total magnetic moment: 7.000 μB per formula unit

Entry 2:
A relaxed RbSmSe2 crystal. Source: the Materials Project database, functional PBE.

Geometry as CIF:
```
data_RbSmSe2
_chemical_formula_sum 'Rb1 Sm1 Se2'
_cell_length_a 4.3309
_cell_length_b 4.3309
_cell_length_c 8.3984
_cell_angle_alpha 75.06
_cell_angle_beta 75.06
_cell_angle_gamma 60.00
_symmetry_space_group_name_H-M 'P 1'
_symmetry_Int_Tables_number 1
_symmetry_space_group_name_Hall 'P 1'
loop_
_atom_site_label
_atom_site_fract_x
_atom_site_fract_y
_atom_site_fract_z
Rb1 0.0000 0.0000 0.0000
Sm1 0.5000 0.5000 0.5000
Se1 0.2330 0.2330 0.3011
Se2 0.7670 0.7670 0.6989
```

Entry 3:
A relaxed Sr22Nb10O47 crystal. Source: the Materials Project database, functional PBE.

Geometry as CIF:
```
data_Sr22Nb10O47
_chemical_formula_sum 'Sr22 Nb10 O47'
_cell_length_a 5.9611
_cell_length_b 6.0198
_cell_length_c 40.0478
_cell_angle_alpha 90.09
_cell_angle_beta 90.12
_cell_angle_gamma 118.31
_symmetry_space_group_name_H-M 'P 1'
_symmetry_Int_Tables_number 1
_symmetry_space_group_name_Hall 'P 1'
loop_
_atom_site_label
_atom_site_fract_x
_atom_site_fract_y
_atom_site_fract_z
Sr1 0.4346 0.7739 0.0366
Sr2 0.7480 0.4155 0.1375
Sr3 0.7569 0.3987 0.0509
Sr4 0.0722 0.0739 0.0977
Sr5 0.0828 0.9385 0.2756
Sr6 0.0786 0.0561 0.1846
Sr7 0.4313 0.7352 0.2062
Sr8 0.5149 0.5689 0.4132
Sr9 0.8065 0.1850 0.3482
Sr10 0.8804 0.2658 0.5184
Sr11 0.8565 0.2293 0.4343
Sr12 0.2036 0.9138 0.4763
Sr13 0.2174 0.8120 0.6532
Sr14 0.2097 0.9080 0.5628
Sr15 0.6617 0.4193 0.7905
Sr16 0.5684 0.5973 0.5846
Sr17 0.9334 0.0547 0.7255
Sr18 0.0134 0.1066 0.8992
Sr19 0.9878 0.0852 0.8126
Sr20 0.3376 0.7647 0.8564
Sr21 0.3253 0.7339 0.9441
Sr22 0.6502 0.4054 0.9592
Nb1 0.0421 0.0074 0.9965
Nb2 0.4120 0.7384 0.1190
Nb3 0.7517 0.3618 0.2367
Nb4 0.4561 0.5426 0.3164
Nb5 0.1572 0.8678 0.3721
Nb6 0.5417 0.5835 0.4977
Nb7 0.8861 0.2287 0.6151
Nb8 0.5893 0.4172 0.6942
Nb9 0.2828 0.7366 0.7490
Nb10 0.6721 0.4325 0.8751
O1 0.6453 0.6571 0.0884
O2 0.4154 0.1513 0.0080
O3 0.1168 0.5173 0.0876
O4 0.8195 0.0781 0.2313
O5 0.9345 0.0944 0.0362
O6 0.4799 0.0414 0.0870
O7 0.7182 0.9776 0.1461
O8 0.3309 0.4359 0.1479
O9 0.3837 0.1152 0.2288
O10 0.4109 0.8273 0.3302
O11 0.7673 0.5487 0.1979
O12 0.1788 0.8177 0.1454
O13 0.1007 0.5863 0.2480
O14 0.1273 0.3307 0.3037
O15 0.9224 0.8260 0.3344
O16 0.7889 0.5177 0.4690
O17 0.4530 0.3477 0.3530
O18 0.6402 0.5098 0.2772
O19 0.4702 0.0391 0.3980
O20 0.2494 0.3427 0.4655
O21 0.0614 0.5388 0.3877
O22 0.9589 0.9481 0.6095
O23 0.5892 0.8648 0.4660
O24 0.9496 0.9517 0.3996
O25 0.8401 0.8262 0.5259
O26 0.4603 0.2789 0.5266
O27 0.5207 0.9791 0.6065
O28 0.5320 0.6978 0.7082
O29 0.8986 0.4166 0.5767
O30 0.3021 0.6590 0.5238
O31 0.2339 0.4572 0.6262
O32 0.2601 0.2033 0.6817
O33 0.0393 0.6902 0.7110
O34 0.9196 0.3752 0.8463
O35 0.7671 0.3749 0.6549
O36 0.5817 0.2199 0.7307
O37 0.5887 0.9101 0.7762
O38 0.1659 0.4083 0.7660
O39 0.3788 0.1907 0.8446
O40 0.0408 0.6748 0.9971
O41 0.7233 0.7165 0.8442
O42 0.0720 0.8294 0.7745
O43 0.9719 0.6656 0.9050
O44 0.5960 0.1276 0.9060
O45 0.6783 0.8016 0.9803
O46 0.4369 0.5158 0.9016
O47 0.1404 0.2321 0.9584
```

Properties
Total magnetic moment: 0.067 μB per formula unit

Entry 4:
A relaxed LaCo2Ge2 crystal. Source: the Materials Project database, functional PBE.

Geometry as CIF:
```
data_LaCo2Ge2
_chemical_formula_sum 'La1 Co2 Ge2'
_cell_length_a 5.8879
_cell_length_b 5.8879
_cell_length_c 5.8879
_cell_angle_alpha 139.14
_cell_angle_beta 139.14
_cell_angle_gamma 59.17
_symmetry_space_group_name_H-M 'P 1'
_symmetry_Int_Tables_number 1
_symmetry_space_group_name_Hall 'P 1'
loop_
_atom_site_label
_atom_site_fract_x
_atom_site_fract_y
_atom_site_fract_z
La1 0.0000 0.0000 0.0000
Co1 0.7500 0.2500 0.5000
Co2 0.2500 0.7500 0.5000
Ge1 0.6368 0.6368 0.0000
Ge2 0.3632 0.3632 0.0000
```

Number 1: formation enthalpy at 0 K -3280 meV per atom, DFT total energy -9.99 eV per atom. Number 2: formation enthalpy at 0 K -1966 meV per atom, DFT total energy -4.90 eV per atom. Number 3: formation enthalpy at 0 K -3204 meV per atom, DFT total energy -7.49 eV per atom. Number 4: formation enthalpy at 0 K -591 meV per atom, DFT total energy -6.27 eV per atom.